Entry 1:
Ce7ZrO16: relaxed, PBE.

a b c (Å): 7.6797 7.6797 5.4261
angles (deg): 90.00 90.00 90.00
Last column: nearest neighbours and their distance in Å.
Space group P4/mmm (No. 123)
Unique sites:
1 Ce 0.0000 0.0000 0.0000  8 O 2.37
2 Ce 0.0000 0.5000 0.0000  8 O 2.34-2.38
3 Ce 0.2530 0.2530 0.5000  8 O 2.35-2.37
4 Zr 0.5000 0.5000 0.0000  8 O 2.28
5 O 0.0000 0.2522 0.2506  4 Ce 2.34-2.37
6 O 0.2583 0.5000 0.2430  1 Zr 2.28, 3 Ce 2.35-2.38

Properties
Spin magnetization   0.0 Bohr magnetons per cell
Energy of formation from the pure elements   -3892.2 meV per atom
ρ   6.9 Mg/m³
Crystal system   tetragonal
Raw total energy   -8.820 eV/atom



Entry 2:
CeZr6O14: relaxed, PBE.

a b c (Å): 3.6825 25.7222 5.2976
angles (deg): 90.00 90.00 90.00
Last column: nearest neighbours and their distance in Å.
Space group Pmm2 (No. 25)
Unique sites:
1 Ce 0.0000 0.1436 0.0000  8 O 2.23-2.49
2 Zr 0.0000 0.0000 0.0012  6 O 2.12-2.33
3 Zr 0.0000 0.2879 0.0010  4 O 2.11-2.12
4 Zr 0.0000 0.4292 0.0005  4 O 2.10-2.12
5 Zr 0.5000 0.0702 0.5011  5 O 2.11-2.34
6 Zr 0.5000 0.2171 0.5008  7 O 2.12-2.37
7 Zr 0.5000 0.3584 0.5019  4 O 2.10-2.12
8 Zr 0.5000 0.5000 0.5016  4 O 2.10-2.12
9 O 0.0000 0.0679 0.7088  3 Zr 2.15-2.33
10 O 0.0000 0.0690 0.2213  3 Zr 2.12-2.36, 1 Ce 2.25
11 O 0.0000 0.2188 0.2194  3 Zr 2.12-2.37, 1 Ce 2.26
12 O 0.0000 0.2186 0.7071  3 Zr 2.14-2.37
13 O 0.0000 0.3576 0.6999  2 Zr 2.12
14 O 0.0000 0.3588 0.2005  2 Zr 2.10-2.11
15 O 0.0000 0.5000 0.1993  2 Zr 2.10
16 O 0.0000 0.5000 0.6984  2 Zr 2.12
17 O 0.5000 0.0000 0.2951  2 Zr 2.11
18 O 0.5000 0.0000 0.7989  2 Zr 2.13
19 O 0.5000 0.1433 0.7634  2 Ce 2.23, 2 Zr 2.34-2.35
20 O 0.5000 0.1436 0.2915  2 Zr 2.19, 2 Ce 2.40
21 O 0.5000 0.2867 0.8016  2 Zr 2.12
22 O 0.5000 0.2882 0.2996  2 Zr 2.10-2.12
23 O 0.5000 0.4292 0.3030  2 Zr 2.10
24 O 0.5000 0.4289 0.8035  2 Zr 2.12

Properties
Spin magnetization   0.0 Bohr magnetons per cell
Energy of formation from the pure elements   -3779.3 meV per atom
ρ   6.0 Mg/m³
Crystal system   orthorhombic
Raw total energy   -9.345 eV/atom



Entry 3:
Ce4ZrO10: relaxed, PBE.

a b c (Å): 3.8153 3.8153 27.0944
angles (deg): 90.00 90.00 90.00
Last column: nearest neighbours and their distance in Å.
Space group I4/mmm (No. 139)
Unique sites:
1 Ce 0.0000 0.0000 0.0973  8 O 2.35-2.36
2 Ce 0.0000 0.0000 0.3009  8 O 2.35
3 Zr 0.0000 0.0000 0.5000  8 O 2.28
4 O 0.0000 0.5000 0.0463  2 Zr 2.28, 2 Ce 2.36, 1 O 2.51
5 O 0.0000 0.5000 0.1481  4 Ce 2.35
6 O 0.0000 0.5000 0.2500  4 Ce 2.35

Properties
Spin magnetization   0.0 Bohr magnetons per cell
Energy of formation from the pure elements   -3869.6 meV per atom
ρ   6.8 Mg/m³
Crystal system   tetragonal
Raw total energy   -8.862 eV/atom



Entry 4:
CeZrO4: relaxed, PBE.

a b c (Å): 10.6285 10.6285 10.6285
angles (deg): 90.00 90.00 90.00
Last column: nearest neighbours and their distance in Å.
Space group Fd-3m (No. 227, origin choice 2)
Unique sites:
1 Ce 0.0000 0.0000 0.0000  8 O 2.30-2.36
2 Zr 0.0000 0.0000 0.5000  8 O 2.25-2.30
3 O 0.1159 0.3750 0.8750  2 Zr 2.25, 2 Ce 2.36
4 O 0.1250 0.1250 0.1250  4 Ce 2.30
5 O 0.1250 0.1250 0.6250  4 Zr 2.30, 6 O 2.56

Properties
Spin magnetization   0.0 Bohr magnetons per cell
Energy of formation from the pure elements   -3807.7 meV per atom
ρ   6.5 Mg/m³
Crystal system   cubic
Raw total energy   -9.062 eV/atom



Entry 5:
Ce2ZrO6: relaxed, PBE.

a b c (Å): 3.8099 3.8099 9.2165
angles (deg): 90.00 90.00 120.00
Last column: nearest neighbours and their distance in Å.
Space group P-3m1 (No. 164)
Unique sites:
1 Ce 0.3333 0.6667 0.1744  8 O 2.35-2.40
2 Zr 0.0000 0.0000 0.5000  8 O 2.18-2.29
3 O 0.0000 0.0000 0.2638  1 Zr 2.18, 3 Ce 2.35
4 O 0.3333 0.6667 0.4295  3 Zr 2.29, 1 Ce 2.35, 3 O 2.55
5 O 0.3333 0.6667 0.9138  4 Ce 2.35-2.40

Properties
Spin magnetization   0.0 Bohr magnetons per cell
Energy of formation from the pure elements   -3847.0 meV per atom
ρ   6.7 Mg/m³
Crystal system   trigonal
Raw total energy   -8.956 eV/atom



Entry 6:
Ce4ZrO10: relaxed, PBE.

a b c (Å): 3.8351 3.8351 46.5936
angles (deg): 90.00 90.00 120.00
Last column: nearest neighbours and their distance in Å.
Space group R-3m (No. 166, hexagonal axes)
Unique sites:
1 Ce 0.0000 0.0000 0.1028  8 O 2.33-2.40
2 Ce 0.0000 0.0000 0.2992  8 O 2.35-2.40
3 Zr 0.0000 0.0000 0.5000  8 O 2.17-2.31
4 O 0.0000 0.0000 0.0512  4 Ce 2.35-2.40
5 O 0.0000 0.0000 0.1529  3 Zr 2.31, 1 Ce 2.33, 3 O 2.56
6 O 0.0000 0.0000 0.2476  4 Ce 2.35-2.40
7 O 0.0000 0.0000 0.3502  4 Ce 2.36-2.38
8 O 0.0000 0.0000 0.4535  1 Zr 2.17, 3 Ce 2.36

Properties
Spin magnetization   0.0 Bohr magnetons per cell
Energy of formation from the pure elements   -3878.7 meV per atom
ρ   6.8 Mg/m³
Crystal system   trigonal
Raw total energy   -8.871 eV/atom



Entry 7:
CeZr3O8: relaxed, PBE.

a b c (Å): 10.4651 10.5318 5.3192
angles (deg): 90.00 90.91 90.00
Last column: nearest neighbours and their distance in Å.
Space group C2/c (No. 15)
Unique sites:
1 Ce 0.0000 0.1303 0.2500  8 O 2.28-2.39
2 Zr 0.0000 0.3815 0.7500  8 O 2.15-2.32
3 Zr 0.2488 0.1269 0.7519  4 O 2.06-2.09
4 O 0.1164 0.4820 0.0602  3 Zr 2.06-2.29
5 O 0.1254 0.2430 0.9521  2 Zr 2.08-2.23
6 O 0.1251 0.2701 0.4689  2 Zr 2.09-2.32, 1 Ce 2.28
7 O 0.1327 0.0106 0.5254  1 Zr 2.09

Properties
Spin magnetization   0.0 Bohr magnetons per cell
Energy of formation from the pure elements   -3797.8 meV per atom
ρ   6.1 Mg/m³
Crystal system   monoclinic
Raw total energy   -9.270 eV/atom



Entry 8:
CeZr2O6: relaxed, PBE.

a b c (Å): 3.7361 5.2453 11.1131
angles (deg): 90.00 90.00 90.00
Last column: nearest neighbours and their distance in Å.
Space group Immm (No. 71)
Unique sites:
1 Ce 0.0000 0.0000 0.0000  8 O 2.32-2.34
2 Zr 0.0000 0.0000 0.3310  8 O 2.22-2.26
3 O 0.0000 0.2380 0.5000  2 Zr 2.25, 2 Ce 2.32, 1 O 2.50
4 O 0.0000 0.2575 0.1725  3 Zr 2.22-2.26, 1 Ce 2.34

Properties
Spin magnetization   0.0 Bohr magnetons per cell
Energy of formation from the pure elements   -3780.8 meV per atom
ρ   6.4 Mg/m³
Crystal system   orthorhombic
Raw total energy   -9.180 eV/atom



Entry 9:
Ce2ZrO6: relaxed, PBE.

a b c (Å): 3.8035 5.3648 11.3366
angles (deg): 90.00 90.00 90.00
Last column: nearest neighbours and their distance in Å.
Space group Immm (No. 71)
Unique sites:
1 Ce 0.0000 0.0000 0.1645  8 O 2.34-2.37
2 Zr 0.0000 0.0000 0.5000  8 O 2.24-2.29
3 O 0.0000 0.2436 0.3392  1 Zr 2.24, 3 Ce 2.35-2.37
4 O 0.0000 0.2636 0.0000  2 Zr 2.29, 2 Ce 2.34, 1 O 2.54

Properties
Spin magnetization   0.0 Bohr magnetons per cell
Energy of formation from the pure elements   -3841.5 meV per atom
ρ   6.7 Mg/m³
Crystal system   orthorhombic
Raw total energy   -8.950 eV/atom



Entry 10:
Ce4Os: relaxed, PBE.

a b c (Å): 10.7299 10.7299 10.7299
angles (deg): 90.00 90.00 90.00
Last column: nearest neighbours and their distance in Å.
Space group Fd-3m (No. 227, origin choice 2)
Unique sites:
1 Ce 0.0150 0.0150 0.2350  1 Os 2.60
2 Os 0.1250 0.1250 0.6250  4 Ce 2.60

Properties
Spin magnetization   26.6 Bohr magnetons per cell
Energy of formation from the pure elements   372.6 meV per atom
ρ   8.1 Mg/m³
Crystal system   cubic
Raw total energy   -6.619 eV/atom



Entry 11:
CeP12Os4: relaxed, PBE.

a b c (Å): 8.1156 8.1156 8.1156
angles (deg): 90.00 90.00 90.00
Last column: nearest neighbours and their distance in Å.
Space group Im-3 (No. 204)
Unique sites:
1 Ce 0.0000 0.0000 0.0000  12 P 3.11
2 P 0.0000 0.3551 0.1432  2 P 2.32-2.35, 2 Os 2.37
3 Os 0.2500 0.2500 0.2500  6 P 2.37

Properties
Energy of formation from the pure elements   -626.2 meV per atom
ρ   7.9 Mg/m³
Crystal system   cubic
Raw total energy   -7.438 eV/atom



Entry 12:
CeOsRu: relaxed, PBE.

a b c (Å): 5.2110 5.5458 7.6371
angles (deg): 90.00 90.00 90.00
Last column: nearest neighbours and their distance in Å.
Space group Imma (No. 74)
Unique sites:
1 Ce 0.0000 0.2500 0.1245  6 Ru 3.10-3.19, 6 Os 3.14-3.21, 4 Ce 3.23-3.36
2 Os 0.2500 0.2500 0.7500  2 Os 2.61, 4 Ru 2.70
3 Ru 0.0000 0.0000 0.5000  4 Os 2.70, 2 Ru 2.77

Properties
Energy of formation from the pure elements   -270.8 meV per atom
ρ   13.0 Mg/m³
Crystal system   orthorhombic
Raw total energy   -9.082 eV/atom



Entry 13:
CeSiOs: relaxed, PBE.

a b c (Å): 4.2082 4.2082 6.8075
angles (deg): 90.00 90.00 90.00
Last column: nearest neighbours and their distance in Å.
Space group P4/nmm (No. 129, origin choice 2)
Unique sites:
1 Ce 0.2500 0.2500 0.1806  4 Os 3.03, 5 Si 3.11-3.35
2 Si 0.2500 0.2500 0.6887  4 Os 2.47
3 Os 0.2500 0.7500 0.5000  4 Si 2.47

Properties
Energy of formation from the pure elements   -638.0 meV per atom
ρ   9.9 Mg/m³
Crystal system   tetragonal
Raw total energy   -8.167 eV/atom



Entry 14:
CeP: relaxed, PBE.

a b c (Å): 5.8002 5.8002 5.8002
angles (deg): 90.00 90.00 90.00
Last column: nearest neighbours and their distance in Å.
Space group Fm-3m (No. 225)
Unique sites:
1 Ce 0.0000 0.0000 0.0000  6 P 2.90
2 P 0.0000 0.0000 0.5000  6 Ce 2.90

Properties
Energy of formation from the pure elements   -1500.6 meV per atom
ρ   5.8 Mg/m³
Crystal system   cubic
Raw total energy   -7.174 eV/atom



Entry 15:
CeP3: relaxed, PBE.

a b c (Å): 5.6088 5.6088 5.2798
angles (deg): 90.00 90.00 120.00
Last column: nearest neighbours and their distance in Å.
Space group P6_3/mmc (No. 194)
Unique sites:
1 Ce 0.3333 0.6667 0.2500  6 P 2.81
2 P 0.1509 0.3018 0.7500  2 P 2.54, 2 Ce 2.81

Properties
Spin magnetization   0.0 Bohr magnetons per cell
Energy of formation from the pure elements   -505.7 meV per atom
ρ   5.4 Mg/m³
Crystal system   hexagonal
Raw total energy   -6.049 eV/atom



Entry 16:
CeP2: relaxed, PBE.

a b c (Å): 12.1038 13.5801 8.5339
angles (deg): 90.00 134.62 90.00
Last column: nearest neighbours and their distance in Å.
Space group Cc (No. 9)
Unique sites:
1 Ce 0.0000 0.0420 0.0000  9 P 2.87-3.03
2 Ce 0.1029 0.4579 0.3050  9 P 2.88-3.16
3 Ce 0.2162 0.1916 0.5972  9 P 2.86-3.09
4 Ce 0.4227 0.2239 0.2066  9 P 2.88-3.14
5 P 0.0295 0.3693 0.5295  1 P 2.24
6 P 0.1305 0.1162 0.8233  1 P 2.24
7 P 0.1325 0.2459 0.1860  2 P 2.24-2.25
8 P 0.2096 0.3721 0.1115  1 P 2.25
9 P 0.2863 0.3724 0.8240  2 P 2.22-2.24
10 P 0.2940 0.0295 0.1370  2 P 2.24-2.32
11 P 0.3106 0.1257 0.3778  2 P 2.24-2.32
12 P 0.4026 0.3748 0.7070  1 P 2.22

Properties
Spin magnetization   13.8 Bohr magnetons per cell
Energy of formation from the pure elements   -1003.6 meV per atom
ρ   5.4 Mg/m³
Crystal system   monoclinic
Raw total energy   -6.590 eV/atom



Entry 17:
CeP5: relaxed, PBE.

a b c (Å): 4.6079 9.5769 5.5748
angles (deg): 90.00 108.94 90.00
Last column: nearest neighbours and their distance in Å.
Space group P2_1/m (No. 11)
Unique sites:
1 Ce 0.0971 0.2500 0.4054  8 P 2.86-3.08
2 P 0.2641 0.2500 0.9465  2 P 2.22
3 P 0.2908 0.5571 0.3882  2 P 2.22
4 P 0.3670 0.5945 0.0195  3 P 2.22-2.24

Properties
Energy of formation from the pure elements   -508.7 meV per atom
ρ   4.2 Mg/m³
Crystal system   monoclinic
Raw total energy   -6.009 eV/atom



Entry 18:
CeP2: relaxed, PBE.

a b c (Å): 4.0360 6.3915 10.0260
angles (deg): 90.00 106.77 90.00
Last column: nearest neighbours and their distance in Å.
Space group P2_1/c (No. 14)
Unique sites:
1 Ce 0.0786 0.1822 0.3620  9 P 2.87-3.07
2 P 0.3011 0.6302 0.4492  2 P 2.24-2.33
3 P 0.4630 0.1498 0.6712  1 P 2.24

Properties
Energy of formation from the pure elements   -1044.9 meV per atom
ρ   5.4 Mg/m³
Crystal system   monoclinic
Raw total energy   -6.631 eV/atom



Entry 19:
CeP: relaxed, PBE.

a b c (Å): 3.5033 3.5033 3.5033
angles (deg): 90.00 90.00 90.00
Last column: nearest neighbours and their distance in Å.
Space group Pm-3m (No. 221)
Unique sites:
1 Ce 0.0000 0.0000 0.0000  8 P 3.03
2 P 0.5000 0.5000 0.5000  8 Ce 3.03

Properties
Spin magnetization   0.8 Bohr magnetons per cell
Energy of formation from the pure elements   -1156.6 meV per atom
ρ   6.6 Mg/m³
Crystal system   cubic
Raw total energy   -6.830 eV/atom